w:
Below is PaSi3 after structural relaxation, with properties calculated at the r2SCAN level.

The calculation puts the density at 7.78 Mg/m³. Its space group is P6_3/mmc (194).

Unit cell a=5.894 b=5.894 c=4.476 alpha=90.00 beta=90.00 gamma=120.00
Element x y z (fractional)
Pa 0.333 0.667 0.250
Pa 0.667 0.333 0.750
Si 0.143 0.285 0.750
Si 0.143 0.857 0.750
Si 0.285 0.143 0.250
Si 0.715 0.857 0.750
Si 0.857 0.143 0.250
Si 0.857 0.715 0.250

x:
Below is PaSi3 after structural relaxation, with properties calculated at the r2SCAN level.

The calculation puts the density at 7.57 Mg/m³. Its space group is Pm-3m (221).

Unit cell a=4.105 b=4.105 c=4.105 alpha=90.00 beta=90.00 gamma=90.00
Element x y z (fractional)
Pa 0.000 0.000 0.000
Si 0.000 0.500 0.500
Si 0.500 0.000 0.500
Si 0.500 0.500 0.000

Stability check: which of them is most stable? x.

w:
Below is Pd after structural relaxation, with properties calculated at the r2SCAN level.

The calculation puts the density at 11.76 Mg/m³. Its space group is Fm-3m (225).

Unit cell a=2.770 b=2.770 c=2.770 alpha=60.00 beta=60.00 gamma=60.00
Element x y z (fractional)
Pd 0.000 0.000 0.000

x:
Below is Pd after structural relaxation, with properties calculated at the r2SCAN level.

The calculation puts the density at 11.73 Mg/m³. Its space group is P6_3/mmc (194).

Unit cell a=2.763 b=2.763 c=9.118 alpha=90.00 beta=90.00 gamma=120.00
Element x y z (fractional)
Pd 0.000 0.000 0.000
Pd 0.000 0.000 0.500
Pd 0.333 0.667 0.250
Pd 0.667 0.333 0.750

Stability check: which of them is most stable? w.

w:
Below is Pm after structural relaxation, with properties calculated at the r2SCAN level.

The calculation puts the density at 6.97 Mg/m³. Its space group is P6_3/mmc (194).

Unit cell a=3.676 b=3.676 c=11.799 alpha=90.00 beta=90.00 gamma=120.00
Element x y z (fractional)
Pm 0.000 0.000 0.000
Pm 0.000 0.000 0.500
Pm 0.333 0.667 0.250
Pm 0.667 0.333 0.750

x:
Below is Pm after structural relaxation, with properties calculated at the r2SCAN level.

The calculation puts the density at 6.92 Mg/m³. Its space group is R-3m (166).

Unit cell a=9.062 b=9.062 c=9.062 alpha=23.55 beta=23.55 gamma=23.55
Element x y z (fractional)
Pm 0.000 0.000 0.000
Pm 0.222 0.222 0.222
Pm 0.778 0.778 0.778

Stability check: which of them is most stable? w.

w:
Below is Pm3Pr after structural relaxation, with properties calculated at the r2SCAN level.

The calculation puts the density at 6.71 Mg/m³. Its space group is P6_3/mmc (194).

Unit cell a=7.492 b=7.492 c=5.863 alpha=90.00 beta=90.00 gamma=120.00
Element x y z (fractional)
Pm 0.167 0.333 0.250
Pm 0.167 0.833 0.250
Pm 0.333 0.167 0.750
Pm 0.667 0.833 0.250
Pm 0.833 0.167 0.750
Pm 0.833 0.667 0.750
Pr 0.333 0.667 0.750
Pr 0.667 0.333 0.250

x:
Below is Pm3Pr after structural relaxation, with properties calculated at the r2SCAN level.

The calculation puts the density at 6.82 Mg/m³. Its space group is I4/mmm (139).

Unit cell a=6.350 b=6.350 c=6.350 alpha=131.59 beta=131.59 gamma=70.87
Element x y z (fractional)
Pm 0.000 0.000 0.000
Pm 0.250 0.750 0.500
Pm 0.750 0.250 0.500
Pr 0.500 0.500 0.000

Stability check: which of them is most stable? x.